The following is a DFT calculation (PBE+U) of a geometry-optimized MgTiCo2O6 structure.

POSCAR file:
```
MgTiCo2O6
1.0
2.9799 0.0000 0.0000
0.1782 6.0150 0.0000
1.4581 1.2016 6.1779
Mg Ti Co O
1 1 2 6
Direct
0.0000 0.0000 0.0000
0.9062 0.4992 0.9989
0.2888 0.1966 0.3758
0.6962 0.8091 0.6227
0.1330 0.5889 0.6920
0.1787 0.0276 0.6714
0.4888 0.7392 0.9985
0.4911 0.2661 0.0003
0.8027 0.9772 0.3276
0.8664 0.4171 0.3072
```

Values from the calculation:
Final energy   -6.71 eV per atom
Space group   P1 (1)

The following is a DFT calculation (PBE+U) of a geometry-optimized MgTiCo2O6 structure.

POSCAR file:
```
MgTiCo2O6
1.0
3.0145 0.0000 0.0000
-1.4105 5.6295 0.0000
-0.0651 -1.7848 6.4958
Mg Ti Co O
1 1 2 6
Direct
0.0000 0.0000 0.0000
0.5046 0.9974 0.5004
0.1928 0.3849 0.8142
0.8077 0.6149 0.1823
0.1150 0.2374 0.5303
0.1950 0.3806 0.1094
0.4563 0.9143 0.1975
0.5430 0.0809 0.8004
0.8043 0.6184 0.8859
0.8869 0.7578 0.4672
```

Values from the calculation:
Final energy   -6.75 eV per atom
Space group   P1 (1)

The following is a DFT calculation (PBE+U) of a geometry-optimized SrEuNbWO6 structure.

POSCAR file:
```
SrEuNbWO6
1.0
0.0000 4.1236 4.1236
4.1236 0.0000 4.1236
4.1236 4.1236 0.0000
Sr Eu Nb W O
1 1 1 1 6
Direct
0.0000 0.0000 0.0000
0.5000 0.5000 0.5000
0.7500 0.7500 0.7500
0.2500 0.2500 0.2500
0.5069 0.5069 0.9931
0.5069 0.9931 0.5069
0.5069 0.9931 0.9931
0.9931 0.5069 0.5069
0.9931 0.5069 0.9931
0.9931 0.9931 0.5069
```

Values from the calculation:
Final energy   -8.46 eV per atom
Space group   F-43m (216)

The following is a DFT calculation (PBE+U) of a geometry-optimized BaLa2Co3O9 structure.

POSCAR file:
```
BaLa2Co3O9
1.0
5.5501 0.0000 0.0000
-2.7677 4.8443 0.0000
-0.0503 -0.1852 13.4916
Ba La Co O
2 4 6 18
Direct
0.0000 0.0000 0.0000
0.0015 0.0026 0.4985
0.3260 0.6732 0.3245
0.3331 0.6655 0.8319
0.6537 0.3313 0.1675
0.6617 0.3340 0.6693
0.3264 0.6659 0.0808
0.3347 0.6683 0.5817
0.6606 0.3341 0.4147
0.6670 0.3342 0.9163
0.9942 0.0017 0.2488
0.9995 0.0028 0.7510
0.0094 0.5033 0.9958
0.0308 0.5136 0.5024
0.1537 0.8330 0.6761
0.1635 0.3449 0.1730
0.1681 0.8298 0.1711
0.1687 0.3516 0.6741
0.3383 0.1709 0.3256
0.3538 0.1819 0.8275
0.5039 0.9966 0.5025
0.5083 0.0102 0.9950
0.5087 0.4957 0.9991
0.5219 0.4897 0.5043
0.6368 0.8231 0.6705
0.6405 0.8299 0.1696
0.8173 0.6609 0.3241
0.8208 0.6466 0.8284
0.8256 0.1872 0.3295
0.8273 0.1655 0.8261
```

Values from the calculation:
Final energy   -6.79 eV per atom
Space group   P1 (1)

The following is a DFT calculation (PBE+U) of a geometry-optimized VSbO4 structure.

POSCAR file:
```
VSbO4
1.0
4.6752 0.0543 -3.1552
-4.6745 -0.0550 -3.1541
0.1097 9.3508 -3.1537
Sb V O
4 4 16
Direct
0.6250 0.1250 0.7500
0.8749 0.3749 0.2500
0.1251 0.6251 0.7500
0.3749 0.8749 0.2500
0.5000 0.5000 0.0000
0.7500 0.7500 0.5000
0.0000 0.0000 0.0000
0.2500 0.2500 0.5000
0.3264 0.0210 0.6527
0.1486 0.9504 0.4009
0.1737 0.4790 0.3474
0.8512 0.0495 0.5991
0.6014 0.7996 0.0991
0.6737 0.9789 0.3474
0.3513 0.5496 0.5991
0.1013 0.2995 0.0991
0.4237 0.7290 0.8473
0.3987 0.2004 0.9009
0.8988 0.7005 0.9009
0.8264 0.5210 0.6527
0.9237 0.2290 0.8473
0.6487 0.4505 0.4009
0.5763 0.2710 0.1527
0.0763 0.7710 0.1526
```

Values from the calculation:
Final energy   -6.97 eV per atom

The following is a DFT calculation (PBE+U) of a geometry-optimized LiV4O5F7 structure.

POSCAR file:
```
LiV4O5F7
1.0
5.1254 0.0000 0.0000
2.4365 4.7632 0.0000
2.3455 1.7602 8.5166
Li V O F
1 4 5 7
Direct
0.0000 0.0000 0.0000
0.0800 0.2526 0.6417
0.3185 0.4645 0.8951
0.5314 0.7144 0.1538
0.8512 0.9640 0.4083
0.0478 0.5737 0.5260
0.1543 0.2804 0.8360
0.1573 0.8862 0.2194
0.4766 0.6147 0.9846
0.9966 0.1131 0.4855
0.0826 0.8551 0.7855
0.4995 0.0238 0.5778
0.5757 0.0705 0.0228
0.5998 0.3301 0.2769
0.6491 0.3884 0.7221
0.6571 0.7929 0.3213
0.9761 0.5530 0.0778
```

Values from the calculation:
Final energy   -6.50 eV per atom
Space group   P1 (1)
Piezoelectric modulus e_max   1.0 C/m2